Entry from Materials Project: a geometry-optimized Li6V3P8O29 structure (GGA+U).

Geometry as CIF:
```
data_Li6V3P8O29
_chemical_formula_sum 'Li12 V6 P16 O58'
_symmetry_space_group_name_H-M 'P 1'
_symmetry_Int_Tables_number 1
_cell_length_a 9.850
_cell_length_b 9.854
_cell_length_c 13.946
_cell_angle_alpha 90.20
_cell_angle_beta 90.02
_cell_angle_gamma 119.94
loop_
_symmetry_equiv_pos_as_xyz
'x,y,z'
loop_
_atom_site_label
_atom_site_type_symbol
_atom_site_fract_x
_atom_site_fract_y
_atom_site_fract_z
_atom_site_occupancy
Li1 Li 0.000 0.000 0.000 1
Li2 Li 0.003 0.412 0.500 1
Li3 Li 0.090 0.318 0.879 1
Li4 Li 0.098 0.186 0.379 1
Li5 Li 0.114 0.762 0.825 1
Li6 Li 0.443 0.424 0.055 1
Li7 Li 0.454 0.997 0.500 1
Li8 Li 0.547 0.768 0.378 1
Li9 Li 0.680 0.319 0.380 1
Li10 Li 0.684 0.780 0.881 1
Li11 Li 0.861 0.404 0.000 1
Li12 Li 0.868 0.865 0.500 1
V1 V 0.213 0.091 0.188 1
V2 V 0.214 0.529 0.690 1
V3 V 0.346 0.665 0.187 1
V4 V 0.348 0.093 0.692 1
V5 V 0.776 0.522 0.191 1
V6 V 0.776 0.657 0.690 1
P1 P 0.007 0.003 0.782 1
P2 P 0.012 0.413 0.281 1
P3 P 0.096 0.178 0.598 1
P4 P 0.097 0.323 0.097 1
P5 P 0.109 0.758 0.066 1
P6 P 0.109 0.758 0.567 1
P7 P 0.442 0.425 0.312 1
P8 P 0.445 0.428 0.812 1
P9 P 0.458 0.007 0.281 1
P10 P 0.460 0.864 0.781 1
P11 P 0.545 0.774 0.596 1
P12 P 0.547 0.178 0.096 1
P13 P 0.685 0.770 0.098 1
P14 P 0.689 0.324 0.599 1
P15 P 0.864 0.861 0.281 1
P16 P 0.867 0.412 0.783 1
O1 O 0.018 0.337 0.008 1
O2 O 0.019 0.089 0.508 1
O3 O 0.021 0.335 0.371 1
O4 O 0.022 0.096 0.871 1
O5 O 0.027 0.006 0.281 1
O6 O 0.031 0.428 0.780 1
O7 O 0.101 0.752 0.460 1
O8 O 0.105 0.761 0.959 1
O9 O 0.107 0.606 0.609 1
O10 O 0.108 0.911 0.106 1
O11 O 0.109 0.173 0.096 1
O12 O 0.114 0.342 0.598 1
O13 O 0.149 0.979 0.766 1
O14 O 0.162 0.570 0.262 1
O15 O 0.252 0.182 0.618 1
O16 O 0.256 0.763 0.110 1
O17 O 0.261 0.905 0.605 1
O18 O 0.262 0.465 0.113 1
O19 O 0.290 0.275 0.269 1
O20 O 0.292 0.718 0.766 1
O21 O 0.294 0.431 0.773 1
O22 O 0.298 0.995 0.265 1
O23 O 0.397 0.615 0.614 1
O24 O 0.403 0.203 0.113 1
O25 O 0.434 0.007 0.775 1
O26 O 0.438 0.420 0.419 1
O27 O 0.442 0.434 0.919 1
O28 O 0.443 0.843 0.279 1
O29 O 0.445 0.284 0.769 1
O30 O 0.448 0.577 0.272 1
O31 O 0.520 0.752 0.102 1
O32 O 0.526 0.175 0.599 1
O33 O 0.532 0.849 0.506 1
O34 O 0.534 0.093 0.373 1
O35 O 0.543 0.093 0.009 1
O36 O 0.543 0.854 0.866 1
O37 O 0.563 0.885 0.685 1
O38 O 0.569 0.099 0.193 1
O39 O 0.590 0.418 0.274 1
O40 O 0.596 0.580 0.773 1
O41 O 0.664 0.605 0.113 1
O42 O 0.676 0.472 0.615 1
O43 O 0.694 0.760 0.598 1
O44 O 0.695 0.349 0.103 1
O45 O 0.774 0.847 0.371 1
O46 O 0.775 0.880 0.189 1
O47 O 0.776 0.849 0.009 1
O48 O 0.778 0.305 0.691 1
O49 O 0.778 0.335 0.509 1
O50 O 0.782 0.341 0.873 1
O51 O 0.857 0.841 0.783 1
O52 O 0.863 0.430 0.281 1
O53 O 0.870 0.709 0.261 1
O54 O 0.889 0.578 0.765 1
O55 O 0.959 0.759 0.610 1
O56 O 0.961 0.608 0.105 1
O57 O 0.988 0.091 0.690 1
O58 O 0.989 0.304 0.189 1
```

Summary:
total DFT energy (no corrections)	-7.017	eV/atom
space-group type	No. 1
magnetic moment	3.00	μB per formula unit

***

Entry from Materials Project: a geometry-optimized La4CoO8 structure (GGA+U).

Geometry as CIF:
```
data_La4CoO8
_chemical_formula_sum 'La8 Co2 O16'
_symmetry_space_group_name_H-M 'P 1'
_symmetry_Int_Tables_number 1
_cell_length_a 13.344
_cell_length_b 13.344
_cell_length_c 13.344
_cell_angle_alpha 157.01
_cell_angle_beta 157.01
_cell_angle_gamma 32.74
loop_
_symmetry_equiv_pos_as_xyz
'x,y,z'
loop_
_atom_site_label
_atom_site_type_symbol
_atom_site_fract_x
_atom_site_fract_y
_atom_site_fract_z
_atom_site_occupancy
La1 La 0.057 0.307 0.750 1
La2 La 0.190 0.440 0.750 1
La3 La 0.307 0.057 0.250 1
La4 La 0.440 0.190 0.250 1
La5 La 0.560 0.810 0.750 1
La6 La 0.693 0.943 0.750 1
La7 La 0.810 0.560 0.250 1
La8 La 0.943 0.693 0.250 1
Co1 Co 0.375 0.625 0.750 1
Co2 Co 0.625 0.375 0.250 1
O1 O 0.032 0.782 0.250 1
O2 O 0.132 0.382 0.263 1
O3 O 0.132 0.868 0.750 1
O4 O 0.218 0.968 0.250 1
O5 O 0.294 0.544 0.750 1
O6 O 0.382 0.132 0.763 1
O7 O 0.382 0.618 0.250 1
O8 O 0.456 0.706 0.750 1
O9 O 0.544 0.294 0.250 1
O10 O 0.618 0.382 0.750 1
O11 O 0.618 0.868 0.237 1
O12 O 0.706 0.456 0.250 1
O13 O 0.782 0.032 0.750 1
O14 O 0.868 0.132 0.250 1
O15 O 0.868 0.618 0.737 1
O16 O 0.968 0.218 0.750 1
```

Summary:
total DFT energy (no corrections)	-7.756	eV/atom
space-group type	No. 141
magnetic moment	1.00	μB per formula unit

***

What did we get for ΔE_f? Answer: -2658.4 -3194.7 meV/atom, in the order shown.
What did we get for ΔE to the lowest computed polymorph? Answer: 0.004 0.002 eV/atom, in the order shown.